VASP calculation (PBE-GGA) on crystalline RbPr3 at its relaxed geometry.

## Properties
Crystal system: tetragonal

abc: 6.732 6.732 6.732
angles: 132.42 132.42 69.56
Element x y z (fractional)
Rb 0.000 0.000 0.000
Pr 0.250 0.750 0.500
Pr 0.500 0.500 0.000
Pr 0.750 0.250 0.500

=====

VASP calculation (PBE-GGA) on crystalline PrRh2 at its relaxed geometry.

## Properties
Crystal system: cubic

abc: 5.449 5.449 5.449
angles: 60.00 60.00 60.00
Element x y z (fractional)
Pr 0.125 0.125 0.125
Pr 0.875 0.875 0.875
Rh 0.000 0.500 0.500
Rh 0.500 0.000 0.500
Rh 0.500 0.500 0.000
Rh 0.500 0.500 0.500

=====

VASP calculation (PBE-GGA) on crystalline Pr7Rh3 at its relaxed geometry.

## Properties
Crystal system: hexagonal

abc: 10.269 10.269 6.381
angles: 90.00 90.00 120.00
Element x y z (fractional)
Pr 0.083 0.542 0.000
Pr 0.126 0.252 0.690
Pr 0.126 0.874 0.690
Pr 0.252 0.126 0.190
Pr 0.333 0.667 0.476
Pr 0.458 0.542 0.000
Pr 0.458 0.917 0.000
Pr 0.542 0.083 0.500
Pr 0.542 0.458 0.500
Pr 0.667 0.333 0.976
Pr 0.748 0.874 0.690
Pr 0.874 0.126 0.190
Pr 0.874 0.748 0.190
Pr 0.917 0.458 0.500
Rh 0.189 0.377 0.258
Rh 0.189 0.811 0.258
Rh 0.377 0.189 0.758
Rh 0.623 0.811 0.258
Rh 0.811 0.189 0.758
Rh 0.811 0.623 0.758

=====

VASP calculation (PBE-GGA) on crystalline Pr3Rh2 at its relaxed geometry.

## Properties
Crystal system: trigonal

abc: 7.656 7.656 7.656
angles: 71.51 71.51 71.51
Element x y z (fractional)
Pr 0.000 0.000 0.000
Pr 0.165 0.393 0.664
Pr 0.203 0.203 0.203
Pr 0.336 0.835 0.607
Pr 0.393 0.664 0.165
Pr 0.607 0.336 0.835
Pr 0.664 0.165 0.393
Pr 0.797 0.797 0.797
Pr 0.835 0.607 0.336
Rh 0.044 0.837 0.410
Rh 0.163 0.590 0.956
Rh 0.410 0.044 0.837
Rh 0.590 0.956 0.163
Rh 0.837 0.410 0.044
Rh 0.956 0.163 0.590

=====

no.,calculated formation energy (eV per atom)
1,0.502
2,-0.631
3,-0.476
4,-0.582